[1]
# UO2F2, relaxed, DFT PBE-GGA
# Total moment in μB per atom: 0.000
# Energy relative to the lowest polymorph listed for this composition in meV per atom: 138
# Formation energy from the elements in eV/atom: -3.536
data_UO2F2
_chemical_formula_sum 'U2 O4 F4'
_symmetry_space_group_name_H-M 'C 1 2/m 1'
_symmetry_Int_Tables_number 12
_cell_length_a 9.953
_cell_length_b 3.412
_cell_length_c 4.294
_cell_angle_alpha 90.00
_cell_angle_beta 100.87
_cell_angle_gamma 90.00
loop_
_symmetry_equiv_pos_as_xyz
'x,y,z'
'-x,-y,-z'
'-x,y,-z'
'x,-y,z'
'x+1/2,y+1/2,z'
'-x+1/2,-y+1/2,-z'
'-x+1/2,y+1/2,-z'
'x+1/2,-y+1/2,z'
loop_
_atom_site_label
_atom_site_type_symbol
_atom_site_fract_x
_atom_site_fract_y
_atom_site_fract_z
U1 U 0.000 0.000 0.000
O1 O 0.113 0.500 0.946
F1 F 0.120 0.000 0.455

[2]
# AlFe2B2, relaxed, DFT PBE-GGA
# Formation energy from the elements in eV/atom: -0.401
data_AlFe2B2
_chemical_formula_sum 'Al2 Fe4 B4'
_symmetry_space_group_name_H-M 'C m m m'
_symmetry_Int_Tables_number 65
_symmetry_space_group_name_Hall '-C 2 2'
_cell_length_a 2.915
_cell_length_b 11.012
_cell_length_c 2.863
_cell_angle_alpha 90.00
_cell_angle_beta 90.00
_cell_angle_gamma 90.00
loop_
_atom_site_label
_atom_site_type_symbol
_atom_site_fract_x
_atom_site_fract_y
_atom_site_fract_z
Al1 Al 0.000 0.000 0.000
Fe1 Fe 0.000 0.354 0.500
B1 B 0.000 0.206 0.000